Y4Fe29Si5: optimized geometry, PBE-GGA.

Computed properties:
Energy relative to the elements = -0.106 eV/atom
Spin magnetization = 56.77 μB per formula unit
Energy with MP2020 corrections = -302.66 eV/f.u.

Cell: 6.380 6.389 12.766 Å, 82.45 81.52 82.43°
Fractional coordinates of all 38 atoms:
Y 0.150 0.159 0.327
Y 0.155 0.154 0.826
Y 0.845 0.846 0.174
Y 0.850 0.841 0.673
Fe 0.000 0.500 0.000
Fe 0.000 0.500 0.500
Fe 0.156 0.664 0.329
Fe 0.161 0.161 0.078
Fe 0.161 0.655 0.829
Fe 0.165 0.164 0.575
Fe 0.194 0.810 0.499
Fe 0.200 0.800 0.000
Fe 0.203 0.501 0.149
Fe 0.210 0.499 0.645
Fe 0.345 0.840 0.170
Fe 0.350 0.836 0.668
Fe 0.497 0.809 0.348
Fe 0.499 0.502 0.250
Fe 0.500 0.000 0.000
Fe 0.500 0.200 0.151
Fe 0.500 0.800 0.849
Fe 0.501 0.498 0.750
Fe 0.503 0.191 0.652
Fe 0.650 0.164 0.332
Fe 0.655 0.160 0.830
Fe 0.790 0.501 0.355
Fe 0.797 0.499 0.851
Fe 0.800 0.200 0.000
Fe 0.806 0.190 0.501
Fe 0.835 0.836 0.425
Fe 0.839 0.345 0.171
Fe 0.839 0.839 0.922
Fe 0.844 0.336 0.671
Si 0.389 0.424 0.445
Si 0.399 0.399 0.949
Si 0.500 0.000 0.500
Si 0.601 0.601 0.051
Si 0.611 0.576 0.555



Y2FeSi4: optimized geometry, PBE-GGA.

Computed properties:
Energy relative to the elements = -0.576 eV/atom
Spin magnetization = 0.00 μB per formula unit
Energy with MP2020 corrections = -47.14 eV/f.u.

Cell: 4.004 7.859 7.859 Å, 30.29 90.00 90.00°
Fractional coordinates of all 7 atoms:
Y 0.000 0.000 0.000
Y 0.500 0.202 0.202
Fe 0.000 0.796 0.796
Si 0.000 0.357 0.357
Si 0.000 0.647 0.647
Si 0.500 0.544 0.544
Si 0.500 0.858 0.858



Y2Fe3Si5: optimized geometry, PBE-GGA.

Computed properties:
Energy relative to the elements = -0.657 eV/atom
Energy with MP2020 corrections = -72.04 eV/f.u.

Cell: 10.359 10.359 5.487 Å, 90.00 90.00 90.00°
Fractional coordinates of all 40 atoms:
Y 0.070 0.236 0.000
Y 0.236 0.930 0.000
Y 0.264 0.430 0.500
Y 0.430 0.736 0.500
Y 0.570 0.264 0.500
Y 0.736 0.570 0.500
Y 0.764 0.070 0.000
Y 0.930 0.764 0.000
Fe 0.000 0.500 0.250
Fe 0.000 0.500 0.750
Fe 0.123 0.855 0.500
Fe 0.145 0.123 0.500
Fe 0.355 0.623 0.000
Fe 0.377 0.355 0.000
Fe 0.500 0.000 0.250
Fe 0.500 0.000 0.750
Fe 0.623 0.645 0.000
Fe 0.645 0.377 0.000
Fe 0.855 0.877 0.500
Fe 0.877 0.145 0.500
Si 0.000 0.000 0.270
Si 0.000 0.000 0.730
Si 0.022 0.320 0.500
Si 0.177 0.677 0.250
Si 0.177 0.677 0.750
Si 0.180 0.478 0.000
Si 0.320 0.978 0.500
Si 0.323 0.177 0.250
Si 0.323 0.177 0.750
Si 0.478 0.820 0.000
Si 0.500 0.500 0.230
Si 0.500 0.500 0.770
Si 0.522 0.180 0.000
Si 0.677 0.823 0.250
Si 0.677 0.823 0.750
Si 0.680 0.022 0.500
Si 0.820 0.522 0.000
Si 0.823 0.323 0.250
Si 0.823 0.323 0.750
Si 0.978 0.680 0.500



YFe2Si2: optimized geometry, PBE-GGA.

Computed properties:
Energy relative to the elements = -0.649 eV/atom
Energy with MP2020 corrections = -37.50 eV/f.u.

Cell: 5.530 5.530 5.530 Å, 137.95 137.95 60.98°
Fractional coordinates of all 5 atoms:
Y 0.000 0.000 0.000
Fe 0.250 0.750 0.500
Fe 0.750 0.250 0.500
Si 0.365 0.365 0.000
Si 0.635 0.635 0.000